(1)
K5Bi4 | the Materials Project | PBE-GGA | optimized geometry; crystal system = monoclinic; calculated total energy = -24.27 eV per cell; space group = C2/m, No. 12
1.0
2.8364 6.4091 0.0000
-2.8364 6.4091 0.0000
0.0000 4.2613 10.9264
K Bi
5 4
Direct
0.9045 0.9045 0.3896
0.7564 0.7564 0.8324
0.0000 0.0000 0.0000
0.2436 0.2436 0.1676
0.0955 0.0955 0.6104
0.5449 0.5449 0.1675
0.3903 0.3903 0.6098
0.4551 0.4551 0.8325
0.6097 0.6097 0.3902


(2)
ThB2Os2 | the Materials Project | PBE-GGA | optimized geometry; crystal system = orthorhombic; energy relative to the lowest polymorph listed for this composition = 0.000 eV/atom; space group = Fddd, No. 70
1.0
3.3547 1.1754 5.8407
1.6699 5.3129 2.4117
-2.6229 0.6318 4.9434
B Os Th
4 4 2
Direct
0.9336 0.5664 0.9336
0.6836 0.3164 0.6836
0.3164 0.6836 0.3164
0.5664 0.9336 0.5664
0.8870 0.8870 0.6130
0.3630 0.3630 0.6370
0.6130 0.6130 0.8870
0.6370 0.6370 0.3630
0.2500 0.2500 0.2500
0.0000 0.0000 0.0000


(3)
Na3Si34 | the Materials Project | PBE-GGA | optimized geometry; crystal system = trigonal; calculated total energy = -187.47 eV per cell; space group = R-3m, No. 166
1.0
-7.8966 6.0195 3.1833
-4.7372 -1.9616 9.0794
1.2866 6.4731 8.0727
Si Na
34 3
Direct
0.3707 0.3707 0.9944
0.7635 0.3712 0.3712
0.2367 0.6290 0.0052
0.6290 0.0052 0.2367
0.7633 0.3710 0.9948
0.1254 0.1254 0.1254
0.3707 0.9944 0.3707
0.1530 0.7821 0.7821
0.3712 0.3712 0.7635
0.6293 0.0056 0.6293
0.3710 0.9948 0.7633
0.6288 0.6288 0.2365
0.2365 0.6288 0.6288
0.9948 0.7633 0.3710
0.2367 0.0052 0.6290
0.2179 0.2179 0.8470
0.8746 0.8746 0.8746
0.7821 0.1530 0.7821
0.3712 0.7635 0.3712
0.8470 0.2179 0.2179
0.6288 0.2365 0.6288
0.0052 0.2367 0.6290
0.0052 0.6290 0.2367
0.7633 0.9948 0.3710
0.0056 0.6293 0.6293
0.9948 0.3710 0.7633
0.3710 0.7633 0.9948
0.6290 0.2367 0.0052
0.7821 0.7821 0.1530
0.2179 0.8470 0.2179
0.9944 0.3707 0.3707
0.2176 0.2176 0.2176
0.6293 0.6293 0.0056
0.7824 0.7824 0.7824
0.6250 0.6250 0.6250
0.0000 0.0000 0.0000
0.3750 0.3750 0.3750


(4)
Er2Si5Ru3 | the Materials Project | PBE-GGA | optimized geometry; crystal system = orthorhombic; calculated total energy = -145.13 eV per cell; space group = Ibam, No. 72
1.0
-2.7923 4.8011 6.0722
2.7923 -4.8011 6.0722
2.7923 4.8011 -6.0722
Si Ru Er
10 6 4
Direct
0.0000 0.7500 0.7500
0.5749 0.9049 0.6700
0.2928 0.5428 0.2500
0.2349 0.4049 0.8300
0.2928 0.0428 0.7500
0.7651 0.5951 0.1700
0.7072 0.9572 0.2500
0.7072 0.4572 0.7500
0.4251 0.0951 0.3300
0.0000 0.2500 0.2500
0.5000 0.2500 0.7500
0.5000 0.7500 0.2500
0.2389 0.1466 0.0924
0.9458 0.3534 0.5924
0.0542 0.6466 0.4076
0.7611 0.8534 0.9076
0.9037 0.1360 0.7677
0.3683 0.6360 0.7323
0.6317 0.3640 0.2677
0.0963 0.8640 0.2323


(5)
Zn2Sn9O13 | the Materials Project | PBE-GGA | optimized geometry; crystal system = triclinic; calculated total energy = -132.90 eV per cell; space group = P-1, No. 2
1.0
3.1886 0.0000 0.0000
-1.5729 7.7386 0.0000
-1.5041 -3.4392 15.5878
Sn O Zn
9 13 2
Direct
0.2485 0.1750 0.3104
0.4335 0.7769 0.0951
0.5665 0.2231 0.9049
0.1494 0.2008 0.1040
0.6287 0.8519 0.3991
0.3713 0.1481 0.6009
0.7515 0.8250 0.6896
0.0000 0.5000 0.5000
0.8506 0.7992 0.8960
0.6009 0.0604 0.1516
0.9552 0.3310 0.5871
0.0448 0.6690 0.4129
0.0000 0.0000 0.0000
0.7055 0.6293 0.7722
0.3131 0.6769 0.9449
0.5099 0.7279 0.2695
0.6869 0.3231 0.0551
0.4002 0.3634 0.4311
0.5998 0.6366 0.5689
0.2945 0.3707 0.2278
0.3991 0.9396 0.8484
0.4901 0.2721 0.7305
0.0827 0.4377 0.7448
0.9173 0.5623 0.2552


(6)
EuEr2S4 | the Materials Project | PBE-GGA | optimized geometry; crystal system = orthorhombic; energy relative to the lowest polymorph listed for this composition = 0.000 eV/atom; space group = Pnma, No. 62
1.0
3.9429 0.0000 0.0000
0.0000 11.8888 0.0000
0.0000 0.0000 14.2044
S Eu Er
16 4 8
Direct
0.2500 0.4122 0.5789
0.7500 0.0878 0.0789
0.2500 0.0229 0.2842
0.7500 0.5878 0.4211
0.2500 0.5229 0.2158
0.7500 0.2926 0.3243
0.7500 0.8689 0.4717
0.7500 0.3689 0.0283
0.2500 0.7074 0.6757
0.2500 0.6311 0.9717
0.7500 0.4771 0.7842
0.2500 0.1311 0.5283
0.2500 0.9122 0.9211
0.7500 0.9771 0.7158
0.7500 0.7926 0.1757
0.2500 0.2074 0.8243
0.7500 0.7422 0.8378
0.7500 0.2422 0.6622
0.2500 0.7578 0.3378
0.2500 0.2578 0.1622
0.2500 0.9329 0.1104
0.7500 0.5811 0.1002
0.2500 0.4329 0.3896
0.2500 0.9189 0.6002
0.7500 0.5671 0.6104
0.2500 0.4189 0.8998
0.7500 0.0811 0.3998
0.7500 0.0671 0.8896


(7)
NaY3NbP3S3O24 | the Materials Project | PBE-GGA | optimized geometry; crystal system = triclinic; calculated total energy = -781.54 eV per cell; space group = P1, No. 1
1.0
-3.1641 -7.7144 3.6375
7.3959 -0.1464 -5.2818
13.6950 3.4726 19.1935
P O S Y Na Nb
9 72 9 9 3 3
Direct
0.3639 0.0256 0.5829
0.7146 0.6966 0.2497
0.3758 0.3282 0.0825
0.6661 0.6366 0.5833
0.9680 0.3271 0.5835
0.0418 0.3761 0.9167
0.9933 0.7121 0.7481
0.3373 0.3817 0.4178
0.6672 0.0470 0.0839
0.9003 0.3782 0.6337
0.5005 0.8805 0.0828
0.4333 0.1444 0.5327
0.7976 0.8047 0.1983
0.1803 0.1876 0.6962
0.6965 0.1553 0.0320
0.8262 0.7712 0.3025
0.4814 0.1709 0.2413
0.1289 0.6432 0.3674
0.9996 0.1789 0.6000
0.1534 0.6749 0.4695
0.5351 0.6658 0.2575
0.0025 0.8267 0.6950
0.8550 0.5130 0.1367
0.7140 0.5687 0.5325
0.4795 0.0959 0.6338
0.3328 0.8450 0.5658
0.8261 0.3067 0.2419
0.8779 0.5097 0.4241
0.3596 0.4893 0.3661
0.5134 0.8774 0.3674
0.6386 0.1259 0.4247
0.3710 0.4923 0.0834
0.1594 0.7091 0.7490
0.4948 0.3628 0.4254
0.9731 0.7905 0.0921
0.8499 0.5446 0.0348
0.1271 0.4644 0.2579
0.1135 0.6242 0.0848
0.4839 0.1315 0.9173
0.6935 0.1531 0.7408
0.3226 0.8630 0.9678
0.4621 0.3081 0.0314
0.3295 0.8686 0.2573
0.1511 0.4829 0.5676
0.5420 0.6822 0.9673
0.1768 0.9730 0.9144
0.0218 0.1955 0.9160
0.2325 0.0501 0.2996
0.1334 0.4751 0.8630
0.0128 0.2168 0.2000
0.3260 0.4850 0.4712
0.2030 0.1693 0.0911
0.5227 0.8483 0.4691
0.5278 0.6577 0.8646
0.6402 0.5125 0.9176
0.9723 0.7963 0.8004
0.6177 0.5198 0.6337
0.8110 0.9926 0.6967
0.7795 0.9593 0.4146
0.8177 0.0309 0.7984
0.6927 0.5122 0.2377
0.1417 0.4677 0.9702
0.6600 0.1544 0.1378
0.4928 0.3413 0.1375
0.2103 0.1838 0.7979
0.8231 0.0261 0.0914
0.5525 0.8449 0.7505
0.8364 0.5347 0.7405
0.2033 0.9908 0.1992
0.1816 0.9978 0.5986
0.8530 0.2830 0.5324
0.8170 0.8190 0.5985
0.3464 0.8733 0.8652
0.5145 0.6673 0.5678
0.3003 0.4485 0.7487
0.9528 0.1837 0.3002
0.8625 0.3581 0.9163
0.7980 0.8202 0.9145
0.0394 0.8189 0.4158
0.4572 0.2975 0.7404
0.1717 0.2107 0.4136
0.9508 0.6198 0.0855
0.6138 0.9524 0.4189
0.3322 0.9570 0.9166
0.6236 0.6673 0.9158
0.7166 0.0034 0.7468
0.2879 0.2811 0.7464
0.3044 0.0138 0.2493
0.9826 0.2914 0.2502
0.0496 0.6617 0.4186
0.3188 0.6611 0.8072
0.3416 0.6628 0.3096
0.9948 0.0018 0.1485
0.9980 0.9967 0.3581
0.9992 0.0027 0.8541
0.6690 0.3293 0.9783
0.6633 0.3334 0.4880
0.3339 0.6609 0.0261
0.6702 0.3361 0.6787
0.6633 0.3446 0.3353
0.0025 0.0256 0.9991
0.6905 0.3460 0.8345
0.6587 0.3320 0.1824
0.3308 0.6555 0.5226
0.0013 0.9919 0.6441


(8)
Dy2FeC4 | the Materials Project | PBE-GGA | optimized geometry; crystal system = orthorhombic; calculated total energy = -113.26 eV per cell; space group = Ibam, No. 72
1.0
-3.9839 -1.5785 2.6227
-3.0078 -5.1232 -2.8401
1.2132 -5.5640 3.3062
C Fe Dy
8 2 4
Direct
0.8718 0.7909 0.4655
0.3718 0.4655 0.7909
0.0777 0.0872 0.7574
0.5777 0.7574 0.0872
0.4223 0.2426 0.9128
0.6282 0.5345 0.2091
0.1282 0.2091 0.5345
0.9223 0.9128 0.2426
0.2500 0.0000 0.0000
0.7500 0.0000 0.0000
0.3553 0.8017 0.4876
0.8553 0.4876 0.8017
0.6447 0.1983 0.5124
0.1447 0.5124 0.1983


What did the third record say?
Na3Si34 | the Materials Project | PBE-GGA | optimized geometry; crystal system = trigonal; calculated total energy = -187.47 eV per cell; space group = R-3m, No. 166
1.0
-7.8966 6.0195 3.1833
-4.7372 -1.9616 9.0794
1.2866 6.4731 8.0727
Si Na
34 3
Direct
0.3707 0.3707 0.9944
0.7635 0.3712 0.3712
0.2367 0.6290 0.0052
0.6290 0.0052 0.2367
0.7633 0.3710 0.9948
0.1254 0.1254 0.1254
0.3707 0.9944 0.3707
0.1530 0.7821 0.7821
0.3712 0.3712 0.7635
0.6293 0.0056 0.6293
0.3710 0.9948 0.7633
0.6288 0.6288 0.2365
0.2365 0.6288 0.6288
0.9948 0.7633 0.3710
0.2367 0.0052 0.6290
0.2179 0.2179 0.8470
0.8746 0.8746 0.8746
0.7821 0.1530 0.7821
0.3712 0.7635 0.3712
0.8470 0.2179 0.2179
0.6288 0.2365 0.6288
0.0052 0.2367 0.6290
0.0052 0.6290 0.2367
0.7633 0.9948 0.3710
0.0056 0.6293 0.6293
0.9948 0.3710 0.7633
0.3710 0.7633 0.9948
0.6290 0.2367 0.0052
0.7821 0.7821 0.1530
0.2179 0.8470 0.2179
0.9944 0.3707 0.3707
0.2176 0.2176 0.2176
0.6293 0.6293 0.0056
0.7824 0.7824 0.7824
0.6250 0.6250 0.6250
0.0000 0.0000 0.0000
0.3750 0.3750 0.3750